Record 1
MgTi2Zn2O6: relaxed, PBE. Values from VASP.

Calculated values
total magnetic moment	0.000	μB/atom
symmetry	R3
volume	119.3	Å³ per cell
raw total energy	-6.7394	eV/atom
formation energy	-2605	meV per atom
polymorph energy (0 for the lowest one)	0.000	eV per atom

Geometry as Quantum ESPRESSO input:
```
&SYSTEM
  ibrav = 0, nat = 11, ntyp = 4
/
ATOMIC_SPECIES
Mg 24.30 Mg.upf
Ti 47.87 Ti.upf
Zn 65.41 Zn.upf
O 16.00 O.upf
ATOMIC_POSITIONS angstrom
Mg 0.000 0.000 0.000
Ti 0.000 0.000 2.785
Ti 0.000 0.000 5.181
Zn 0.000 0.000 8.060
Zn 0.000 0.000 11.395
O -1.700 0.172 6.376
O -0.852 -1.651 8.851
O 0.701 -1.558 6.376
O -1.004 1.563 8.851
O 0.999 1.386 6.376
O 1.856 0.088 8.851
CELL_PARAMETERS angstrom
2.649 1.530 4.907
-2.649 1.530 4.907
0.000 -3.059 4.907
```

=====

Record 2
MgTi2Zn2O6: relaxed, PBE. Values from VASP.

Calculated values
total magnetic moment	0.185	μB/atom
symmetry	R-3
volume	117.6	Å³ per cell
raw total energy	-6.6661	eV/atom
formation energy	-2532	meV per atom
polymorph energy (0 for the lowest one)	0.073	eV per atom

Geometry as Quantum ESPRESSO input:
```
&SYSTEM
  ibrav = 0, nat = 11, ntyp = 4
/
ATOMIC_SPECIES
Mg 24.30 Mg.upf
Ti 47.87 Ti.upf
Zn 65.41 Zn.upf
O 16.00 O.upf
ATOMIC_POSITIONS angstrom
Mg 0.000 0.000 0.000
Ti 0.000 0.000 5.372
Ti 0.000 0.000 9.959
Zn 0.000 0.000 2.614
Zn 0.000 0.000 12.718
O -0.924 -1.546 6.271
O -1.801 0.027 9.060
O -0.877 1.574 6.271
O 0.877 -1.574 9.060
O 1.801 -0.027 6.271
O 0.924 1.546 9.060
CELL_PARAMETERS angstrom
2.577 1.488 5.110
-2.577 1.488 5.110
0.000 -2.976 5.110
```

=====

Record 3
MgTi2Zn2O6: relaxed, PBE. Values from VASP.

Calculated values
total magnetic moment	0.000	μB/atom
symmetry	P-1
volume	146.7	Å³ per cell
raw total energy	-6.6128	eV/atom
formation energy	-2479	meV per atom
polymorph energy (0 for the lowest one)	0.127	eV per atom

Geometry as Quantum ESPRESSO input:
```
&SYSTEM
  ibrav = 0, nat = 11, ntyp = 4
/
ATOMIC_SPECIES
Mg 24.30 Mg.upf
Ti 47.87 Ti.upf
Zn 65.41 Zn.upf
O 16.00 O.upf
ATOMIC_POSITIONS angstrom
Mg 0.000 0.000 0.000
Ti 3.800 5.461 2.814
Ti 4.615 1.107 2.365
Zn 4.120 2.820 5.146
Zn 4.295 3.748 0.033
O 1.318 0.601 1.345
O 4.157 4.699 4.594
O 3.184 1.786 3.557
O 5.231 4.781 1.622
O 4.258 1.869 0.585
O 7.097 5.967 3.834
CELL_PARAMETERS angstrom
5.234 0.000 0.000
1.354 5.411 0.000
1.827 1.157 5.179
```

=====

Record 4
MgTi2Zn2O6: relaxed, PBE. Values from VASP.

Calculated values
total magnetic moment	0.000	μB/atom
symmetry	P1
volume	141.9	Å³ per cell
raw total energy	-6.6882	eV/atom
formation energy	-2554	meV per atom
polymorph energy (0 for the lowest one)	0.051	eV per atom

Geometry as Quantum ESPRESSO input:
```
&SYSTEM
  ibrav = 0, nat = 11, ntyp = 4
/
ATOMIC_SPECIES
Mg 24.30 Mg.upf
Ti 47.87 Ti.upf
Zn 65.41 Zn.upf
O 16.00 O.upf
ATOMIC_POSITIONS angstrom
Mg 0.000 0.000 0.000
Ti 2.998 2.412 1.732
Ti 5.443 2.943 0.812
Zn 4.716 2.149 4.215
Zn 6.097 4.784 3.131
O 1.403 1.437 0.718
O 3.095 1.222 3.277
O 4.725 3.367 2.586
O 4.065 1.593 0.264
O 7.453 5.510 4.497
O 7.154 3.983 1.535
CELL_PARAMETERS angstrom
5.272 0.000 0.000
1.943 5.301 0.000
2.139 1.303 5.077
```

=====

Record 5
MgTi2Zn2O6: relaxed, PBE. Values from VASP.

Calculated values
total magnetic moment	0.004	μB/atom
symmetry	R-3
volume	121.7	Å³ per cell
raw total energy	-6.7214	eV/atom
formation energy	-2587	meV per atom
polymorph energy (0 for the lowest one)	0.018	eV per atom

Geometry as Quantum ESPRESSO input:
```
&SYSTEM
  ibrav = 0, nat = 11, ntyp = 4
/
ATOMIC_SPECIES
Mg 24.30 Mg.upf
Ti 47.87 Ti.upf
Zn 65.41 Zn.upf
O 16.00 O.upf
ATOMIC_POSITIONS angstrom
Mg 0.000 0.000 0.000
Ti 0.000 0.000 2.780
Ti 0.000 0.000 12.957
Zn 0.000 0.000 6.130
Zn 0.000 0.000 9.606
O -0.921 -1.691 6.629
O -1.925 -0.047 9.107
O -1.003 1.643 6.629
O 1.003 -1.643 9.107
O 1.925 0.047 6.629
O 0.921 1.691 9.107
CELL_PARAMETERS angstrom
2.588 1.494 5.246
-2.588 1.494 5.246
0.000 -2.988 5.246
```

=====

Record 6
MgTi2Zn2O6: relaxed, PBE. Values from VASP.

Calculated values
total magnetic moment	0.183	μB/atom
symmetry	R3
volume	118.6	Å³ per cell
raw total energy	-6.6748	eV/atom
formation energy	-2541	meV per atom
polymorph energy (0 for the lowest one)	0.065	eV per atom

Geometry as Quantum ESPRESSO input:
```
&SYSTEM
  ibrav = 0, nat = 11, ntyp = 4
/
ATOMIC_SPECIES
Mg 24.30 Mg.upf
Ti 47.87 Ti.upf
Zn 65.41 Zn.upf
O 16.00 O.upf
ATOMIC_POSITIONS angstrom
Mg 0.000 0.000 0.000
Ti 0.000 0.000 2.801
Ti 0.000 0.000 9.739
Zn 0.000 0.000 6.234
Zn 0.000 0.000 12.482
O -0.947 -1.691 6.245
O -1.750 -0.006 8.790
O -0.990 1.666 6.245
O 0.880 -1.512 8.790
O 1.938 0.025 6.245
O 0.870 1.518 8.790
CELL_PARAMETERS angstrom
2.612 1.508 5.019
-2.612 1.508 5.019
0.000 -3.016 5.019
```

=====

Record 7
MgZr3U7O20: relaxed, PBE. Values from VASP.

Calculated values
total magnetic moment	0.516	μB/atom
symmetry	P1
volume	404.6	Å³ per cell
raw total energy	-9.6849	eV/atom
formation energy	-3507	meV per atom
polymorph energy (0 for the lowest one)	0.025	eV per atom

Geometry as Quantum ESPRESSO input:
```
&SYSTEM
  ibrav = 0, nat = 31, ntyp = 4
/
ATOMIC_SPECIES
Mg 24.30 Mg.upf
Zr 91.22 Zr.upf
U 238.03 U.upf
O 16.00 O.upf
ATOMIC_POSITIONS angstrom
Mg 0.000 0.000 0.000
Zr 1.878 0.927 2.124
Zr 3.758 4.050 11.213
Zr 3.762 1.925 8.164
U 1.882 2.999 14.372
U 1.880 0.833 11.240
U 1.881 5.168 8.196
U 1.881 3.043 5.082
U 3.758 6.197 14.298
U 3.759 6.253 5.052
U 3.758 4.023 1.797
O 1.879 5.294 15.479
O 1.880 0.821 13.552
O 1.881 3.046 12.042
O 1.880 5.097 10.507
O 1.878 0.908 8.918
O 1.880 2.976 7.428
O 1.881 5.187 5.829
O 1.879 0.885 4.211
O 1.881 3.042 2.493
O 1.880 5.824 0.703
O 3.760 1.830 15.214
O 3.759 4.069 13.585
O 3.759 6.173 11.982
O 3.758 1.967 10.458
O 3.758 4.030 8.993
O 3.759 6.288 7.435
O 3.758 1.940 5.913
O 3.759 4.064 4.151
O 3.758 6.303 2.610
O 3.760 1.788 0.943
CELL_PARAMETERS angstrom
3.755 0.000 0.000
0.002 6.492 0.000
1.875 0.672 16.598
```

=====

Record 8
MgZr3U7O20: relaxed, PBE. Values from VASP.

Calculated values
total magnetic moment	0.516	μB/atom
symmetry	P1
volume	416.5	Å³ per cell
raw total energy	-9.6912	eV/atom
formation energy	-3514	meV per atom
polymorph energy (0 for the lowest one)	0.019	eV per atom

Geometry as Quantum ESPRESSO input:
```
&SYSTEM
  ibrav = 0, nat = 31, ntyp = 4
/
ATOMIC_SPECIES
Mg 24.30 Mg.upf
Zr 91.22 Zr.upf
U 238.03 U.upf
O 16.00 O.upf
ATOMIC_POSITIONS angstrom
Mg 0.000 0.000 0.000
Zr 3.713 6.127 14.967
Zr 3.704 4.057 11.814
Zr 3.724 6.245 5.654
U 1.858 2.964 15.144
U 1.851 0.826 12.008
U 1.865 5.165 8.783
U 1.866 2.997 5.616
U 1.865 0.826 2.568
U 3.721 1.890 8.779
U 3.721 4.121 2.463
O 1.861 5.419 16.059
O 1.855 0.831 14.315
O 1.865 3.147 12.864
O 1.858 5.104 11.175
O 1.859 0.816 9.628
O 1.864 3.013 7.970
O 1.867 5.218 6.361
O 1.865 0.805 4.863
O 1.867 3.001 3.169
O 1.879 5.307 1.480
O 3.710 1.232 16.371
O 3.717 4.015 14.683
O 3.716 6.040 12.840
O 3.719 1.952 11.268
O 3.718 4.063 9.679
O 3.723 6.218 7.915
O 3.722 1.846 6.400
O 3.724 4.101 4.808
O 3.729 6.207 3.388
O 3.721 1.575 1.379
CELL_PARAMETERS angstrom
3.714 0.000 0.000
0.009 6.498 0.000
1.848 0.559 17.259
```

=====

Record 9
MgZr3U7O20: relaxed, PBE. Values from VASP.

Calculated values
total magnetic moment	0.515	μB/atom
symmetry	P1
volume	402.4	Å³ per cell
raw total energy	-9.6986	eV/atom
formation energy	-3521	meV per atom
polymorph energy (0 for the lowest one)	0.011	eV per atom

Geometry as Quantum ESPRESSO input:
```
&SYSTEM
  ibrav = 0, nat = 31, ntyp = 4
/
ATOMIC_SPECIES
Mg 24.30 Mg.upf
Zr 91.22 Zr.upf
U 238.03 U.upf
O 16.00 O.upf
ATOMIC_POSITIONS angstrom
Mg 0.000 0.000 0.000
Zr 1.881 0.999 2.178
Zr 3.758 6.446 14.255
Zr 3.749 2.103 8.191
U 1.875 3.272 14.621
U 1.872 1.036 11.310
U 1.876 5.355 8.238
U 1.877 3.199 5.101
U 3.746 4.234 11.358
U 3.753 6.424 5.110
U 3.758 4.167 1.837
O 1.862 5.592 15.543
O 1.874 0.934 13.722
O 1.874 3.189 12.256
O 1.873 5.357 10.566
O 1.876 1.060 8.976
O 1.875 3.135 7.465
O 1.878 5.341 5.877
O 1.877 1.022 4.277
O 1.878 3.121 2.548
O 1.875 5.695 1.042
O 3.745 1.767 15.382
O 3.743 4.320 13.880
O 3.748 6.440 12.162
O 3.750 2.100 10.501
O 3.750 4.214 8.984
O 3.753 6.495 7.466
O 3.751 2.101 5.944
O 3.755 4.237 4.195
O 3.754 6.505 2.722
O 3.749 1.840 0.899
CELL_PARAMETERS angstrom
3.751 0.000 0.000
0.002 6.523 0.000
1.872 0.906 16.447
```

=====

Record 10
MgZr3U7O20: relaxed, PBE. Values from VASP.

Calculated values
total magnetic moment	0.516	μB/atom
symmetry	P1
volume	414.7	Å³ per cell
raw total energy	-9.6903	eV/atom
formation energy	-3513	meV per atom
polymorph energy (0 for the lowest one)	0.019	eV per atom

Geometry as Quantum ESPRESSO input:
```
&SYSTEM
  ibrav = 0, nat = 31, ntyp = 4
/
ATOMIC_SPECIES
Mg 24.30 Mg.upf
Zr 91.22 Zr.upf
U 238.03 U.upf
O 16.00 O.upf
ATOMIC_POSITIONS angstrom
Mg 0.000 0.000 0.000
Zr 1.856 2.991 5.662
Zr 3.718 6.089 14.921
Zr 3.731 4.025 11.803
U 1.853 2.961 15.135
U 1.856 0.818 11.979
U 1.859 5.142 8.773
U 1.857 0.866 2.502
U 3.718 1.893 8.746
U 3.721 6.219 5.594
U 3.720 4.086 2.445
O 1.854 5.337 16.008
O 1.854 0.815 14.305
O 1.850 3.114 12.835
O 1.859 5.070 11.158
O 1.856 0.832 9.592
O 1.856 2.993 7.877
O 1.860 5.089 6.338
O 1.856 0.931 4.825
O 1.859 3.011 3.159
O 1.857 5.297 1.452
O 3.714 1.181 16.360
O 3.714 3.976 14.610
O 3.720 6.025 12.803
O 3.715 1.928 11.241
O 3.720 4.036 9.661
O 3.721 6.204 7.955
O 3.717 1.965 6.378
O 3.721 3.975 4.773
O 3.720 6.198 3.278
O 3.720 1.665 1.331
CELL_PARAMETERS angstrom
3.723 0.000 0.000
0.003 6.472 0.000
1.854 0.506 17.210
```

=====

Record 11
MgZr3U7O20: relaxed, PBE. Values from VASP.

Calculated values
total magnetic moment	0.516	μB/atom
symmetry	Cm
volume	403.1	Å³ per cell
raw total energy	-9.6849	eV/atom
formation energy	-3507	meV per atom
polymorph energy (0 for the lowest one)	0.025	eV per atom

Geometry as Quantum ESPRESSO input:
```
&SYSTEM
  ibrav = 0, nat = 31, ntyp = 4
/
ATOMIC_SPECIES
Mg 24.30 Mg.upf
Zr 91.22 Zr.upf
U 238.03 U.upf
O 16.00 O.upf
ATOMIC_POSITIONS angstrom
Mg 0.000 0.000 0.000
Zr 5.319 0.000 0.359
Zr 8.116 0.000 4.874
Zr 14.346 0.000 0.865
U 2.065 0.000 2.394
U 11.338 0.000 2.882
U 18.486 0.000 5.644
U 21.607 0.000 3.620
U 24.763 0.000 1.608
U 27.651 0.000 6.074
U 31.048 0.000 3.975
O 0.855 0.000 4.703
O 3.058 0.000 0.257
O 4.405 0.000 2.483
O 5.892 0.000 4.805
O 7.548 0.000 0.441
O 8.981 0.000 2.798
O 10.427 0.000 4.984
O 12.272 0.000 0.731
O 13.897 0.000 2.970
O 15.497 0.000 5.812
O 17.787 0.000 1.185
O 19.216 0.000 3.527
O 20.779 0.000 5.788
O 22.432 0.000 1.436
O 23.906 0.000 3.780
O 25.295 0.000 5.937
O 27.085 0.000 1.716
O 28.677 0.000 3.955
O 30.090 0.000 6.260
O 31.995 0.000 1.786
CELL_PARAMETERS angstrom
16.466 -1.879 0.000
16.466 1.879 0.000
-0.309 0.000 6.513
```

=====

Record 12
MgZr3U7O20: relaxed, PBE. Values from VASP.

Calculated values
total magnetic moment	0.516	μB/atom
symmetry	P1
volume	422.5	Å³ per cell
raw total energy	-9.7097	eV/atom
formation energy	-3532	meV per atom
polymorph energy (0 for the lowest one)	0.000	eV per atom

Geometry as Quantum ESPRESSO input:
```
&SYSTEM
  ibrav = 0, nat = 31, ntyp = 4
/
ATOMIC_SPECIES
Mg 24.30 Mg.upf
Zr 91.22 Zr.upf
U 238.03 U.upf
O 16.00 O.upf
ATOMIC_POSITIONS angstrom
Mg 0.000 0.000 0.000
Zr 0.852 4.681 14.386
Zr 2.813 3.295 8.255
Zr 2.714 5.254 2.248
U 0.754 2.180 11.273
U 0.919 6.628 8.296
U 0.879 4.386 5.234
U 0.962 2.244 1.932
U 2.685 7.686 14.527
U 2.757 5.478 11.336
U 2.720 1.053 5.256
O 0.767 6.672 15.081
O 0.832 4.321 12.194
O 0.878 6.627 10.632
O 0.777 2.172 9.023
O 0.867 4.296 7.557
O 0.944 6.599 5.996
O 0.850 4.558 2.801
O 0.882 2.066 4.238
O 1.434 4.309 16.364
O 2.095 5.771 0.186
O 2.729 5.334 13.783
O 2.786 7.866 12.276
O 2.686 3.300 10.476
O 2.796 5.461 8.999
O 2.849 7.825 7.530
O 2.783 5.565 4.381
O 2.781 3.275 5.974
O 2.848 3.304 1.509
O 3.334 0.500 1.990
O 4.247 2.582 14.522
CELL_PARAMETERS angstrom
3.805 0.000 0.000
0.178 6.699 0.000
0.577 2.543 16.578
```